1.
Ba2CuO3: relaxed, PBE-GGA.

abc: 3.8542 4.1736 7.1768
angles: 106.90 105.58 90.00
Element x y z (fractional)
Ba (0.3548, 0.8548, 0.7095)
O (0.0000, 0.0000, 0.0000)
O (0.8527, 0.3527, 0.7053)
O (0.1473, 0.6473, 0.2947)
Cu (0.0000, 0.5000, 0.0000)
Ba (0.6452, 0.1452, 0.2905)

Output
Formation energy ... -2286 meV/atom
Volume ... 106.0 Å³/cell


2.
Nd18Mn49Ni20: relaxed, PBE-GGA.

abc: 8.7972 8.7972 21.5333
angles: 90.00 90.00 120.00
Element x y z (fractional)
Nd (0.5302, 0.4698, 0.7651)
Nd (0.6072, 0.8036, 0.0981)
Mn (0.1729, 0.3457, 0.7069)
Nd (0.1365, 0.8635, 0.5683)
Nd (0.9397, 0.4698, 0.7651)
Ni (0.5000, 0.5000, 0.0000)
Ni (0.1666, 0.3332, 0.3332)
Mn (0.1614, 0.3227, 0.9598)
Ni (0.3335, 0.1667, 0.1665)
Mn (0.0000, 0.0000, 0.0000)
Mn (0.1936, 0.0968, 0.7744)
Ni (0.6668, 0.8334, 0.3332)
Ni (0.5000, 0.0000, 0.0000)
Nd (0.8036, 0.1964, 0.9019)
Nd (0.2730, 0.1365, 0.4317)
Mn (0.0000, 0.0000, 0.6773)
Mn (0.5695, 0.4305, 0.1075)
Mn (0.7635, 0.5269, 0.5592)
Mn (0.8386, 0.1614, 0.0402)
Mn (0.8609, 0.4305, 0.1075)
Mn (0.1614, 0.8386, 0.9598)
Mn (0.2365, 0.7635, 0.4408)
Mn (0.0000, 0.0000, 0.8791)
Mn (0.2365, 0.4731, 0.4408)
Mn (0.9876, 0.4938, 0.3734)
Mn (0.9032, 0.0968, 0.7744)
Mn (0.0000, 0.0000, 0.1209)
Mn (0.5269, 0.7635, 0.4408)
Mn (0.6667, 0.3333, 0.6560)
Nd (0.8036, 0.6072, 0.9019)
Mn (0.5062, 0.4938, 0.3734)
Ni (0.1667, 0.3335, 0.8335)
Mn (0.0124, 0.5062, 0.6266)
Mn (0.0968, 0.1936, 0.2256)
Mn (0.8386, 0.6773, 0.0402)
Mn (0.1391, 0.5695, 0.8925)
Nd (0.1964, 0.3928, 0.0981)
Mn (0.4305, 0.5695, 0.8925)
Mn (0.0968, 0.9032, 0.2256)
Mn (0.6667, 0.3333, 0.4536)
Nd (0.4698, 0.5302, 0.2349)
Mn (0.4731, 0.2365, 0.5592)
Mn (0.6667, 0.3333, 0.2130)
Mn (0.3333, 0.6667, 0.7870)
Ni (0.3333, 0.6667, 0.6668)
Mn (0.8271, 0.6543, 0.2931)
Ni (0.1667, 0.8333, 0.8335)
Ni (0.8334, 0.1666, 0.6668)
Mn (0.4938, 0.9876, 0.6266)
Mn (0.4938, 0.5062, 0.6266)
Nd (0.1964, 0.8036, 0.0981)
Nd (0.3928, 0.1964, 0.9019)
Ni (0.5000, 0.0000, 0.5000)
Mn (0.3227, 0.1614, 0.0402)
Ni (0.8333, 0.1667, 0.1665)
Nd (0.0603, 0.5302, 0.2349)
Ni (0.1666, 0.8334, 0.3332)
Nd (0.5302, 0.0603, 0.7651)
Mn (0.3333, 0.6667, 0.3440)
Mn (0.0000, 0.0000, 0.3227)
Nd (0.7270, 0.8635, 0.5683)
Mn (0.8064, 0.9032, 0.2256)
Mn (0.6543, 0.8271, 0.7069)
Mn (0.4305, 0.8609, 0.8925)
Ni (0.6665, 0.8333, 0.8335)
Mn (0.3457, 0.1729, 0.2931)
Nd (0.1365, 0.2730, 0.5683)
Ni (0.5000, 0.5000, 0.5000)
Mn (0.3333, 0.6667, 0.5464)
Nd (0.4698, 0.9397, 0.2349)
Mn (0.6773, 0.8386, 0.9598)
Ni (0.3332, 0.1666, 0.6668)
Ni (0.8334, 0.6668, 0.6668)
Mn (0.7635, 0.2365, 0.5592)
Mn (0.6667, 0.3333, 0.0105)
Mn (0.8271, 0.1729, 0.2931)
Mn (0.3333, 0.6667, 0.9895)
Mn (0.9032, 0.8064, 0.7744)
Nd (0.8635, 0.1365, 0.4317)
Ni (0.8333, 0.6665, 0.1665)
Ni (0.6667, 0.3333, 0.3332)
Nd (0.8635, 0.7270, 0.4317)
Mn (0.5695, 0.1391, 0.1075)
Ni (0.0000, 0.5000, 0.0000)
Mn (0.1729, 0.8271, 0.7069)
Ni (0.0000, 0.5000, 0.5000)
Mn (0.5062, 0.0124, 0.3734)

Output
Formation energy ... 43 meV/atom
Volume ... 1443.2 Å³/cell


3.
Bi13Pb3Cl7O19: relaxed, PBE-GGA.

abc: 15.2397 15.2397 15.5305
angles: 62.47 62.47 15.20
Element x y z (fractional)
Cl (0.1905, 0.1905, 0.2159)
O (0.5888, 0.5888, 0.8036)
O (0.0486, 0.0486, 0.7347)
O (0.9516, 0.9516, 0.2596)
Pb (0.9527, 0.9527, 0.4498)
Cl (0.9014, 0.9014, 0.8949)
O (0.6853, 0.6853, 0.9115)
Bi (0.1315, 0.1315, 0.6690)
O (0.2272, 0.2272, 0.9753)
Cl (0.0955, 0.0955, 0.1158)
Bi (0.6649, 0.6649, 0.4470)
O (0.4060, 0.4060, 0.5557)
Bi (0.4246, 0.4246, 0.6786)
O (0.5003, 0.5003, 0.3253)
O (0.8547, 0.8547, 0.4596)
Cl (0.8128, 0.8128, 0.7847)
O (0.5953, 0.5953, 0.4424)
Bi (0.4886, 0.4886, 0.2029)
Bi (0.7826, 0.7826, 0.1703)
O (0.0472, 0.0472, 0.3871)
Bi (0.8705, 0.8705, 0.3044)
Cl (0.9951, 0.9951, 0.0075)
Bi (0.5988, 0.5988, 0.9272)
Cl (0.2811, 0.2811, 0.3254)
O (0.4036, 0.4036, 0.2171)
Bi (0.3089, 0.3089, 0.9475)
O (0.9532, 0.9532, 0.6119)
O (0.6250, 0.6250, 0.6088)
O (0.3167, 0.3167, 0.0890)
Pb (0.0462, 0.0462, 0.5588)
O (0.7741, 0.7741, 0.0261)
O (0.1360, 0.1360, 0.8705)
Pb (0.3320, 0.3320, 0.5580)
Bi (0.6918, 0.6918, 0.0489)
Bi (0.5764, 0.5764, 0.3219)
Bi (0.2153, 0.2153, 0.8279)
Cl (0.7247, 0.7247, 0.6776)
Bi (0.3984, 0.3984, 0.0766)
O (0.8628, 0.8628, 0.1367)
O (0.4998, 0.4998, 0.6723)
O (0.1513, 0.1513, 0.5069)
Bi (0.5159, 0.5159, 0.7955)

Output
Formation energy ... -1511 meV/atom
Volume ... 836.7 Å³/cell


4.
Na3ScBr6: relaxed, PBE-GGA.

abc: 7.4039 7.4039 13.2450
angles: 90.00 90.00 120.00
Element x y z (fractional)
Br (0.0487, 0.6806, 0.3695)
Br (0.6319, 0.6806, 0.1305)
Na (0.0000, 0.0000, 0.7500)
Na (0.6667, 0.3333, 0.4616)
Br (0.9513, 0.6319, 0.8695)
Br (0.0487, 0.3681, 0.1305)
Br (0.9513, 0.3194, 0.6305)
Br (0.3194, 0.9513, 0.1305)
Br (0.6319, 0.9513, 0.3695)
Na (0.3333, 0.6667, 0.5384)
Na (0.0000, 0.0000, 0.2500)
Br (0.3194, 0.3681, 0.3695)
Br (0.6806, 0.0487, 0.8695)
Na (0.3333, 0.6667, 0.9616)
Sc (0.6667, 0.3333, 0.7500)
Sc (0.3333, 0.6667, 0.2500)
Na (0.6667, 0.3333, 0.0384)
Br (0.3681, 0.0487, 0.6305)
Br (0.3681, 0.3194, 0.8695)
Br (0.6806, 0.6319, 0.6305)

Output
Formation energy ... -1964 meV/atom
Volume ... 628.8 Å³/cell
Energy above the lowest structure with this stoichiometry ... 0.000 eV per atom


5.
K3B17: relaxed, PBE-GGA.

abc: 13.3079 13.3079 13.3079
angles: 153.93 153.93 37.21
Element x y z (fractional)
B (0.0716, 0.7689, 0.0000)
B (0.6350, 0.6350, 0.0000)
B (0.4019, 0.0974, 0.0000)
B (0.7689, 0.0716, 0.0000)
B (0.0974, 0.4019, 0.0000)
B (0.9284, 0.2311, 0.0000)
B (0.7689, 0.7689, 0.6973)
B (0.3650, 0.3650, 0.0000)
B (0.7920, 0.7920, 0.0000)
B (0.5981, 0.9026, 0.0000)
K (0.8326, 0.3326, 0.5000)
B (0.0716, 0.0716, 0.3027)
K (0.0000, 0.5000, 0.5000)
B (0.2080, 0.2080, 0.0000)
B (0.7041, 0.7041, 0.0000)
B (0.9284, 0.9284, 0.6973)
B (0.5981, 0.5981, 0.6955)
B (0.9026, 0.5981, 0.0000)
B (0.9658, 0.9658, 0.0000)
B (0.4368, 0.7352, 0.0000)
K (0.3326, 0.8326, 0.5000)
B (0.2959, 0.2959, 0.0000)
B (0.4653, 0.4653, 0.0000)
K (0.1674, 0.6674, 0.5000)
B (0.7352, 0.4368, 0.0000)
B (0.9026, 0.9026, 0.3045)
B (0.2648, 0.5632, 0.0000)
B (0.4368, 0.4368, 0.7016)
B (0.7352, 0.7352, 0.2984)
B (0.5632, 0.2648, 0.0000)
B (0.4019, 0.4019, 0.3045)
B (0.5632, 0.5632, 0.2984)
B (0.2648, 0.2648, 0.7016)
K (0.6674, 0.1674, 0.5000)
B (0.0342, 0.0342, 0.0000)
B (0.0974, 0.0974, 0.6955)
B (0.2311, 0.9284, 0.0000)
B (0.2311, 0.2311, 0.3027)
K (0.5000, 0.0000, 0.5000)
B (0.5347, 0.5347, 0.0000)

Output
Formation energy ... 92 meV/atom
Volume ... 454.6 Å³/cell


6.
AsS: relaxed, PBE-GGA.

abc: 10.1424 8.9582 10.4827
angles: 82.22 90.00 90.00
Element x y z (fractional)
S (0.5520, 0.9602, 0.8019)
As (0.6511, 0.1669, 0.8483)
As (0.6307, 0.9524, 0.3149)
As (0.1307, 0.5476, 0.6851)
As (0.6337, 0.3393, 0.6337)
As (0.4558, 0.3191, 0.9122)
S (0.4757, 0.4989, 0.2509)
S (0.0243, 0.9989, 0.2509)
S (0.9757, 0.0011, 0.7491)
As (0.1511, 0.3331, 0.1517)
S (0.7880, 0.3065, 0.1699)
S (0.9759, 0.2850, 0.4631)
As (0.3489, 0.8331, 0.1517)
S (0.2120, 0.6935, 0.8301)
As (0.0442, 0.8191, 0.9122)
S (0.5243, 0.5011, 0.7491)
As (0.3693, 0.0476, 0.6851)
As (0.8489, 0.6669, 0.8483)
S (0.7120, 0.8065, 0.1699)
S (0.2880, 0.1935, 0.8301)
S (0.4759, 0.2150, 0.5369)
As (0.1337, 0.1607, 0.3663)
S (0.0241, 0.7150, 0.5369)
As (0.5442, 0.6809, 0.0878)
S (0.5241, 0.7850, 0.4631)
S (0.0520, 0.5398, 0.1981)
As (0.8693, 0.4524, 0.3149)
S (0.4480, 0.0398, 0.1981)
S (0.9480, 0.4602, 0.8019)
As (0.8663, 0.8393, 0.6337)
As (0.3663, 0.6607, 0.3663)
As (0.9558, 0.1809, 0.0878)

Output
Formation energy ... -362 meV/atom
Volume ... 943.7 Å³/cell
Energy above the lowest structure with this stoichiometry ... 0.023 eV per atom


7.
Dy4CdS7: relaxed, PBE-GGA.

abc: 6.6527 6.6527 11.5956
angles: 75.73 75.73 33.54
Element x y z (fractional)
Dy (0.6935, 0.6935, 0.1995)
Dy (0.0001, 0.0001, 0.0026)
S (0.5003, 0.5003, 0.5022)
S (0.2581, 0.2581, 0.3508)
Cd (0.8846, 0.8846, 0.4210)
Dy (0.3072, 0.3072, 0.8039)
S (0.3405, 0.3405, 0.0497)
Dy (0.1149, 0.1149, 0.5713)
S (0.0391, 0.0391, 0.2176)
S (0.9606, 0.9606, 0.7855)
S (0.7413, 0.7413, 0.6475)
S (0.6598, 0.6598, 0.9485)

Output
Formation energy ... -2079 meV/atom
Volume ... 274.0 Å³/cell


8.
MgMnS2: relaxed, PBE-GGA.

abc: 6.6425 6.6360 6.6425
angles: 31.77 31.76 31.77
Element x y z (fractional)
S (0.5869, 0.5862, 0.5869)
Mn (0.9995, 0.9993, 0.9995)
S (0.4135, 0.4122, 0.4135)
Mg (0.1697, 0.1629, 0.1697)

Output
Formation energy ... -1095 meV/atom
Volume ... 72.1 Å³/cell


9.
ThZnRh2: relaxed, PBE-GGA.

abc: 4.7252 4.7252 4.7252
angles: 60.00 60.00 60.00
Element x y z (fractional)
Rh (0.2500, 0.2500, 0.2500)
Th (0.5000, 0.5000, 0.5000)
Rh (0.7500, 0.7500, 0.7500)
Zn (0.0000, 0.0000, 0.0000)

Output
Formation energy ... -677 meV/atom
Volume ... 74.6 Å³/cell


10.
Nd2GaCo2: relaxed, PBE-GGA.

abc: 5.5614 5.5614 5.5614
angles: 136.65 120.52 76.41
Element x y z (fractional)
Co (0.2873, 0.5000, 0.7873)
Co (0.7127, 0.5000, 0.2127)
Ga (0.0000, 0.0000, 0.0000)
Nd (0.2941, 0.7941, 0.5000)
Nd (0.7059, 0.2059, 0.5000)

Output
Formation energy ... -280 meV/atom
Volume ... 99.1 Å³/cell


11.
RbSnBr3: relaxed, PBE-GGA.

abc: 4.5532 9.8179 16.5700
angles: 90.00 90.00 90.00
Element x y z (fractional)
Br (0.7500, 0.3379, 0.9983)
Rb (0.2500, 0.4190, 0.8277)
Br (0.2500, 0.2972, 0.2117)
Br (0.2500, 0.6620, 0.0017)
Sn (0.2500, 0.1637, 0.0621)
Sn (0.7500, 0.8363, 0.9379)
Br (0.2500, 0.7972, 0.2883)
Br (0.2500, 0.1620, 0.4983)
Sn (0.7500, 0.3363, 0.5621)
Br (0.7500, 0.7028, 0.7883)
Br (0.7500, 0.2028, 0.7117)
Rb (0.7500, 0.5810, 0.1723)
Rb (0.2500, 0.9190, 0.6723)
Br (0.7500, 0.9767, 0.1165)
Sn (0.2500, 0.6637, 0.4379)
Br (0.7500, 0.4767, 0.3835)
Br (0.2500, 0.0233, 0.8835)
Br (0.2500, 0.5233, 0.6165)
Br (0.7500, 0.8380, 0.5017)
Rb (0.7500, 0.0810, 0.3277)

Output
Formation energy ... -1524 meV/atom
Volume ... 740.7 Å³/cell


12.
InFeNi: relaxed, PBE-GGA.

abc: 4.3753 4.3753 5.2677
angles: 90.00 90.00 120.00
Element x y z (fractional)
In (0.3333, 0.6667, 0.2500)
Ni (0.6667, 0.3333, 0.2500)
Fe (0.0000, 0.0000, 0.0000)
In (0.6667, 0.3333, 0.7500)
Fe (0.0000, 0.0000, 0.5000)
Ni (0.3333, 0.6667, 0.7500)

Output
Formation energy ... 116 meV/atom
Volume ... 87.3 Å³/cell
Energy above the lowest structure with this stoichiometry ... 0.000 eV per atom


13.
In2H10S3O17: relaxed, PBE-GGA.

abc: 5.8214 10.9541 11.5749
angles: 88.86 88.92 79.04
Element x y z (fractional)
O (0.6317, 0.4444, 0.1199)
S (0.1970, 0.2737, 0.0059)
In (0.4080, 0.3864, 0.2537)
O (0.6068, 0.4627, 0.3819)
O (0.1670, 0.1561, 0.4681)
O (0.1040, 0.9849, 0.6806)
O (0.2151, 0.2981, 0.1320)
O (0.3695, 0.7870, 0.6943)
O (0.7849, 0.7019, 0.8680)
O (0.6620, 0.6934, 0.4313)
O (0.4999, 0.0220, 0.2525)
H (0.7511, 0.3934, 0.0689)
O (0.6123, 0.6870, 0.0630)
H (0.2867, 0.5891, 0.5630)
H (0.5756, 0.1817, 0.5609)
H (0.5982, 0.0506, 0.6306)
O (0.8960, 0.0151, 0.3194)
H (0.8624, 0.3856, 0.6895)
H (0.6209, 0.5512, 0.3930)
O (0.8330, 0.8439, 0.5319)
O (0.3274, 0.9028, 0.4296)
S (0.8594, 0.7089, 0.5057)
H (0.6493, 0.0527, 0.8402)
H (0.4018, 0.9494, 0.3694)
O (0.5001, 0.9780, 0.7475)
O (0.3380, 0.3066, 0.5687)
H (0.7133, 0.4109, 0.4370)
H (0.2489, 0.6066, 0.9311)
O (0.1466, 0.3610, 0.3820)
In (0.0000, 0.0000, 0.0000)
O (0.6305, 0.2130, 0.3057)
H (0.3746, 0.4657, 0.8991)
O (0.2544, 0.8951, 0.1200)
O (0.7456, 0.1049, 0.8800)
S (0.6988, 0.0875, 0.2523)
O (0.0377, 0.6617, 0.0327)
O (0.7765, 0.8643, 0.0086)
S (0.8030, 0.7263, 0.9941)
H (0.6343, 0.1784, 0.9091)
O (0.3932, 0.5373, 0.6181)
S (0.3012, 0.9125, 0.7477)
H (0.3791, 0.4488, 0.6070)
O (0.9623, 0.3383, 0.9673)
O (0.7907, 0.4245, 0.7623)
O (0.0896, 0.6614, 0.4503)
O (0.2177, 0.8928, 0.8682)
H (0.3657, 0.8216, 0.0909)
O (0.8534, 0.6390, 0.6180)
H (0.8759, 0.3876, 0.8325)
In (0.5920, 0.6136, 0.7463)
In (0.0000, 0.0000, 0.5000)
O (0.9104, 0.3386, 0.5497)
H (0.4244, 0.8183, 0.4391)
O (0.7823, 0.1072, 0.1318)
O (0.2235, 0.1357, 0.9914)
O (0.3877, 0.3130, 0.9370)
H (0.1376, 0.6144, 0.3105)
O (0.2093, 0.5755, 0.2377)
H (0.3507, 0.9473, 0.1598)
H (0.6254, 0.5343, 0.1009)
S (0.1406, 0.2911, 0.4943)
O (0.6726, 0.0972, 0.5704)
H (0.1241, 0.6124, 0.1675)
O (0.3683, 0.5556, 0.8801)

Output
Formation energy ... -1632 meV/atom
Volume ... 724.4 Å³/cell